[1]
Co2O3F, relaxed, DFT PBE with a Hubbard U; uncorrected energy = -5.4828 eV per atom; M_tot = 18.4 μB per cell; E_form = -1.287 eV/atom; energy above the most stable polymorph in this dataset = 2.7 kJ/mol of atoms
1.0
14.765 0.000 0.000
0.000 3.074 3.313
0.000 -3.074 3.313
Co O F
10 15 5
Cartesian
0.000 0.000 0.000 Co
1.476 0.000 3.072 Co
2.944 0.000 6.593 Co
4.428 0.000 3.461 Co
5.904 0.000 6.491 Co
7.382 0.000 3.396 Co
8.861 0.000 6.491 Co
10.336 0.000 3.461 Co
11.821 0.000 6.593 Co
13.289 0.000 3.072 Co
0.000 -1.211 3.227 O
0.000 1.211 3.227 O
1.423 0.000 1.158 O
2.952 -1.191 3.275 O
2.952 1.191 3.275 O
4.374 0.000 5.355 O
5.915 -1.184 3.313 O
5.915 1.184 3.313 O
7.382 0.000 5.227 O
8.850 -1.184 3.313 O
8.850 1.184 3.313 O
10.391 0.000 5.355 O
11.813 -1.191 3.275 O
11.813 1.191 3.275 O
13.341 0.000 1.158 O
1.377 0.000 5.271 F
4.472 0.000 1.325 F
7.382 0.000 1.330 F
10.293 0.000 1.325 F
13.388 0.000 5.271 F


[2]
Co3OF5, relaxed, DFT PBE with a Hubbard U; uncorrected energy = -5.1057 eV per atom; M_tot = 16.7 μB per cell; E_form = -2.002 eV/atom; energy above the most stable polymorph in this dataset = 8.1 kJ/mol of atoms
1.0
4.558 -3.402 0.000
4.558 3.402 0.000
-2.479 0.000 6.846
Co O F
6 2 10
Cartesian
0.000 0.000 0.000 Co
-1.240 0.000 3.423 Co
2.071 0.000 2.401 Co
1.025 0.000 5.622 Co
5.611 0.000 1.225 Co
4.565 0.000 4.445 Co
0.787 0.000 3.624 O
5.849 0.000 3.222 O
0.948 2.069 5.711 F
-1.054 0.000 5.464 F
3.318 1.295 3.423 F
5.688 2.069 1.135 F
3.568 0.000 0.928 F
3.068 0.000 5.918 F
0.948 -2.069 5.711 F
3.318 -1.295 3.423 F
7.690 0.000 1.383 F
5.688 -2.069 1.135 F


[3]
Co3O4F2, relaxed, DFT PBE with a Hubbard U; uncorrected energy = -5.4253 eV per atom; M_tot = 11.3 μB per cell; E_form = -1.385 eV/atom; energy above the most stable polymorph in this dataset = 1.0 kJ/mol of atoms
1.0
4.517 -3.043 0.000
4.517 3.043 0.000
-3.244 0.000 6.679
Co O F
6 8 4
Cartesian
0.000 0.000 0.000 Co
-1.528 0.000 3.180 Co
2.053 0.000 2.125 Co
0.477 0.000 5.466 Co
3.759 0.000 4.536 Co
5.666 0.000 0.981 Co
0.391 1.866 5.504 O
2.953 1.180 3.273 O
5.595 1.856 1.015 O
2.370 0.000 5.813 O
0.391 -1.866 5.504 O
2.953 -1.180 3.273 O
7.467 0.000 1.290 O
5.595 -1.856 1.015 O
-1.513 0.000 5.177 F
0.467 0.000 3.452 F
3.719 0.000 0.846 F
5.477 0.000 2.902 F


[4]
Co6O7F5, relaxed, DFT PBE with a Hubbard U; uncorrected energy = -5.3722 eV per atom; M_tot = 19.0 μB per cell; E_form = -1.488 eV/atom; energy above the most stable polymorph in this dataset = 1.5 kJ/mol of atoms
1.0
4.506 -3.106 0.000
4.506 3.106 0.000
-3.106 0.000 6.835
Co O F
6 7 5
Cartesian
0.000 0.000 0.000 Co
0.159 0.176 5.841 Co
2.010 0.158 2.240 Co
3.896 0.158 4.594 Co
5.747 0.176 0.994 Co
2.953 -2.960 3.417 Co
2.047 2.019 2.259 O
1.894 0.085 0.240 O
4.506 1.259 0.000 O
3.859 2.019 4.576 O
2.039 -1.727 2.273 O
4.012 0.085 6.595 O
3.868 -1.727 4.562 O
0.022 0.135 2.044 F
1.899 0.131 4.297 F
4.007 0.131 2.538 F
4.506 -1.146 0.000 F
5.884 0.135 4.791 F


[5]
Co2O3F, relaxed, DFT PBE with a Hubbard U; uncorrected energy = -5.5049 eV per atom; M_tot = 3.7 μB per cell; E_form = -1.309 eV/atom; energy above the most stable polymorph in this dataset = 0.6 kJ/mol of atoms
1.0
3.008 -3.285 0.000
3.008 3.285 0.000
0.000 0.000 12.162
Co O F
8 12 4
Cartesian
0.000 0.000 0.000 Co
0.000 0.000 6.081 Co
3.008 3.265 9.122 Co
3.008 0.237 7.590 Co
3.008 0.237 10.653 Co
3.008 -0.237 1.509 Co
3.008 -0.237 4.572 Co
3.008 -3.265 3.041 Co
3.008 2.095 7.581 O
3.008 2.095 10.662 O
1.763 0.102 9.122 O
1.769 0.000 0.000 O
1.769 0.000 6.081 O
1.763 -0.102 3.041 O
4.252 0.102 9.122 O
4.246 0.000 0.000 O
4.246 0.000 6.081 O
4.252 -0.102 3.041 O
3.008 -2.095 1.500 O
3.008 -2.095 4.581 O
3.008 1.864 1.541 F
3.008 1.864 4.540 F
3.008 -1.864 7.622 F
3.008 -1.864 10.621 F


[6]
Co6O5F7, relaxed, DFT PBE with a Hubbard U; uncorrected energy = -5.2703 eV per atom; M_tot = 15.0 μB per cell; E_form = -1.698 eV/atom; energy above the most stable polymorph in this dataset = 1.8 kJ/mol of atoms
1.0
4.669 0.000 0.000
0.311 5.575 0.000
0.378 0.554 7.605
Co O F
6 5 7
Cartesian
0.000 0.000 0.000 Co
0.441 2.123 5.082 Co
0.535 3.980 2.642 Co
2.708 5.043 5.088 Co
2.545 1.025 2.551 Co
3.037 3.232 7.587 Co
1.222 0.576 5.876 O
1.254 2.232 3.379 O
1.873 5.026 3.323 O
4.170 5.512 1.739 O
4.312 2.059 6.791 O
1.206 3.944 0.717 F
1.918 3.373 5.849 F
1.585 1.142 0.786 F
3.858 4.898 6.787 F
3.542 0.950 4.326 F
3.568 2.721 1.828 F
4.162 3.765 4.389 F


What is the E_form in the fourth record? -1.488 eV/atom